# Pm2PdPt, relaxed, DFT PBE-GGA
# ΔH_f (0 K): -0.93 eV/atom
# crystal system: cubic
data_Pm2PdPt
_chemical_formula_sum 'Pm8 Pd4 Pt4'
_space_group_name_H-M_alt 'F m -3 m'
_space_group_IT_number 225
_space_group_name_Hall '-F 4 2 3'
_cell_length_a 7.1923
_cell_length_b 7.1923
_cell_length_c 7.1923
_cell_angle_alpha 90.00
_cell_angle_beta 90.00
_cell_angle_gamma 90.00
loop_
_atom_site_label
_atom_site_type_symbol
_atom_site_fract_x
_atom_site_fract_y
_atom_site_fract_z
Pm1 Pm 0.2500 0.2500 0.2500
Pd1 Pd 0.0000 0.0000 0.0000
Pt1 Pt 0.0000 0.0000 0.5000